The following is a GGA+U calculation of an optimized crystal structure of MnFeCoP3O12, from the Materials Project database.

Summary:
* space-group type: Pm
* formation enthalpy at 0 K: -2.27 eV/atom

a = 5.9836 Å, b = 9.8721 Å, c = 14.6430 Å
α = 89.82°, β = 90.00°, γ = 90.00°
Last column: nearest neighbours and their distance in Å.
Positions (direct):
Mn 0.5000 0.2874 0.6440  4 O 1.91-2.01
Mn 0.0000 0.2119 0.1453  4 O 1.89-2.02
Mn 0.0000 0.2171 0.4788  4 O 1.89-2.03
Mn 0.5000 0.2828 0.9776  4 O 1.89-2.03
P 0.5000 0.0971 0.1386  4 O 1.52-1.56
P 0.5000 0.0990 0.8052  4 O 1.55-1.56
P 0.5000 0.6032 0.3635  4 O 1.52-1.57
P 0.0000 0.9013 0.1962  4 O 1.53-1.57
P 0.5000 0.5985 0.6971  4 O 1.54-1.57
P 0.0000 0.3992 0.3048  4 O 1.53-1.56
P 0.0000 0.4045 0.6382  4 O 1.52-1.57
P 0.0000 0.9032 0.5281  4 O 1.52-1.58
P 0.0000 0.8971 0.8629  4 O 1.52-1.56
P 0.0000 0.4001 0.9720  4 O 1.52-1.58
P 0.5000 0.6004 0.0280  4 O 1.54-1.57
P 0.5000 0.0978 0.4716  4 O 1.52-1.58
O 0.7013 0.1666 0.0889  1 P 1.56
O 0.7015 0.6765 0.4110  1 P 1.57
O 0.2962 0.1684 0.7580  1 P 1.56
O 0.1999 0.8290 0.2457  1 P 1.57
O 0.2002 0.8259 0.9123  1 P 1.56
O 0.0000 0.5520 0.2867  1 P 1.53
O 0.5000 0.9422 0.1201  1 P 1.55
O 0.2985 0.6765 0.4110  1 P 1.57
O 0.8018 0.3257 0.9219  1 P 1.58
O 0.5000 0.9441 0.7888  1 P 1.55
O 0.5000 0.9470 0.4498  1 P 1.52
O 0.5000 0.4516 0.3836  1 P 1.52
O 0.5000 0.6266 0.2588  1 P 1.55
O 0.2987 0.1666 0.0889  1 P 1.56
O 0.5000 0.1223 0.5752  1 P 1.54
O 0.7025 0.6710 0.0767  1 P 1.57
O 0.0000 0.0490 0.8805  1 P 1.52
O 0.7986 0.3347 0.5890  1 P 1.57
O 0.7038 0.1684 0.7580  1 P 1.56
O 0.0000 0.5590 0.6189  1 P 1.55
O 0.0000 0.5510 0.9518  1 P 1.52
O 0.0000 0.0539 0.2191  1 P 1.54
O 0.0000 0.3790 0.4098  1 P 1.55
O 0.2029 0.8291 0.5763  1 P 1.58
O 0.5000 0.1202 0.2414  1 P 1.52
O 0.7960 0.3280 0.2587  1 P 1.56
O 0.0000 0.8845 0.4251  1 P 1.52
O 0.5000 0.6242 0.9242  1 P 1.54
O 0.0000 0.3761 0.0754  1 P 1.53
O 0.0000 0.8820 0.0929  1 P 1.53
O 0.2014 0.3347 0.5890  1 P 1.57
O 0.5000 0.1199 0.9099  1 P 1.55
O 0.1982 0.3257 0.9219  1 P 1.58
O 0.0000 0.3802 0.7411  1 P 1.52
O 0.0000 0.0550 0.5521  1 P 1.54
O 0.7971 0.8291 0.5763  1 P 1.58
O 0.2040 0.3280 0.2587  1 P 1.56
O 0.7998 0.8259 0.9123  1 P 1.56
O 0.2975 0.6710 0.0767  1 P 1.57
O 0.8001 0.8290 0.2457  1 P 1.57
O 0.5000 0.6195 0.5931  1 P 1.54
O 0.7014 0.6694 0.7461  1 P 1.57
O 0.0000 0.8714 0.7585  1 P 1.55
O 0.5000 0.4453 0.7187  1 P 1.54
O 0.2986 0.6694 0.7461  1 P 1.57
O 0.3012 0.1725 0.4220  1 P 1.58
O 0.5000 0.4471 0.0473  1 P 1.54
O 0.6988 0.1725 0.4220  1 P 1.58
Fe 0.5000 0.2786 0.3193  4 O 1.94-2.04
Fe 0.0000 0.7267 0.0123  6 O 1.94-2.13
Fe 0.0000 0.7276 0.3451  6 O 1.94-2.13
Fe 0.0000 0.2216 0.8186  4 O 1.93-2.05
Co 0.0000 0.7262 0.6781  2 O 1.86-1.87
Co 0.5000 0.7771 0.5167  4 O 1.91-2.05
Co 0.5000 0.7739 0.1779  2 O 1.86-1.87
Co 0.5000 0.7712 0.8423  2 O 1.88


The following is a GGA+U calculation of an optimized crystal structure of MnFeCoP3O12, from the Materials Project database.

Summary:
* space-group type: Pm
* formation enthalpy at 0 K: -2.25 eV/atom

a = 5.9532 Å, b = 9.9034 Å, c = 14.5920 Å
α = 89.94°, β = 90.00°, γ = 90.00°
Last column: nearest neighbours and their distance in Å.
Positions (direct):
O 0.1996 0.3263 0.0773  1 P 1.59
O 0.7015 0.6726 0.9251  1 P 1.57
O 0.5000 0.9493 0.8858  1 P 1.52
O 0.5000 0.1189 0.4263  1 P 1.52
O 0.0000 0.3768 0.2578  1 P 1.55
O 0.5000 0.4475 0.9520  1 P 1.54
O 0.5000 0.4456 0.6141  1 P 1.53
O 0.2049 0.8302 0.7584  1 P 1.57
O 0.7015 0.6714 0.2565  1 P 1.57
O 0.7966 0.3280 0.4099  1 P 1.56
O 0.0000 0.5528 0.7185  1 P 1.54
O 0.6988 0.6713 0.5893  1 P 1.58
O 0.7951 0.8302 0.7584  1 P 1.57
O 0.0000 0.8813 0.5776  1 P 1.55
O 0.7029 0.1740 0.9059  1 P 1.58
O 0.2962 0.1736 0.5774  1 P 1.59
O 0.3012 0.6713 0.5893  1 P 1.58
O 0.5000 0.6179 0.0783  1 P 1.54
O 0.2046 0.3286 0.7409  1 P 1.58
O 0.0000 0.3802 0.9225  1 P 1.52
O 0.7038 0.1736 0.5774  1 P 1.59
O 0.5000 0.6177 0.7424  1 P 1.52
O 0.0000 0.5521 0.3839  1 P 1.54
O 0.5000 0.4468 0.2826  1 P 1.53
O 0.0000 0.8838 0.9086  1 P 1.54
O 0.5000 0.9488 0.5543  1 P 1.52
O 0.7954 0.3286 0.7409  1 P 1.58
O 0.5000 0.1147 0.7541  1 P 1.53
O 0.7009 0.1699 0.2435  1 P 1.57
O 0.0000 0.5513 0.0487  1 P 1.53
O 0.8004 0.3263 0.0773  1 P 1.59
O 0.0000 0.0527 0.4509  1 P 1.53
O 0.0000 0.0544 0.7794  1 P 1.54
O 0.2971 0.1740 0.9059  1 P 1.58
O 0.2034 0.3280 0.4099  1 P 1.56
O 0.5000 0.1169 0.0887  1 P 1.55
O 0.0000 0.0565 0.1193  1 P 1.53
O 0.7952 0.8289 0.4261  1 P 1.57
O 0.1985 0.8298 0.0889  1 P 1.58
O 0.5000 0.6193 0.4089  1 P 1.53
O 0.8015 0.8298 0.0889  1 P 1.58
O 0.5000 0.9461 0.2149  1 P 1.54
O 0.2985 0.6726 0.9251  1 P 1.57
O 0.2048 0.8289 0.4261  1 P 1.57
O 0.2991 0.1699 0.2435  1 P 1.57
O 0.0000 0.3854 0.5888  1 P 1.53
O 0.0000 0.8818 0.2435  1 P 1.53
O 0.2985 0.6714 0.2565  1 P 1.57
P 0.5000 0.5979 0.3053  4 O 1.53-1.57
P 0.5000 0.0986 0.1939  4 O 1.54-1.57
P 0.0000 0.4018 0.6929  4 O 1.53-1.58
P 0.0000 0.4008 0.0259  4 O 1.52-1.59
P 0.5000 0.0982 0.5297  4 O 1.52-1.59
P 0.5000 0.5994 0.9735  4 O 1.54-1.57
P 0.5000 0.0979 0.8586  4 O 1.52-1.58
P 0.0000 0.9045 0.1396  4 O 1.53-1.58
P 0.0000 0.9034 0.8040  4 O 1.54-1.57
P 0.0000 0.9009 0.4722  4 O 1.53-1.57
P 0.5000 0.5958 0.6391  4 O 1.52-1.58
P 0.0000 0.3999 0.3632  4 O 1.54-1.56
Co 0.0000 0.2134 0.8528  4 O 1.91-1.97
Co 0.5000 0.2813 0.6845  4 O 1.92-2.00
Co 0.0000 0.2190 0.5186  4 O 1.92-2.01
Co 0.0000 0.2298 0.1780  2 O 1.87-1.92
Fe 0.5000 0.2736 0.3451  6 O 1.94-2.17
Fe 0.5000 0.7766 0.4883  6 O 1.94-2.16
Fe 0.5000 0.7783 0.8196  4 O 1.95-2.04
Fe 0.0000 0.7269 0.9870  6 O 1.93-2.16
Mn 0.0000 0.7165 0.3138  4 O 1.92-2.01
Mn 0.5000 0.7807 0.1483  4 O 1.91-2.05
Mn 0.0000 0.7171 0.6465  4 O 1.91-2.03
Mn 0.5000 0.2805 0.0187  4 O 1.91-2.03


The following is a GGA+U calculation of an optimized crystal structure of MnFeCoP3O12, from the Materials Project database.

Summary:
* space-group type: Pm
* formation enthalpy at 0 K: -2.26 eV/atom

a = 5.9394 Å, b = 9.9059 Å, c = 14.6027 Å
α = 89.88°, β = 90.00°, γ = 90.00°
Last column: nearest neighbours and their distance in Å.
Positions (direct):
Co 0.0000 0.2222 0.5165  4 O 1.94-2.02
Co 0.0000 0.2231 0.1829  4 O 1.93-2.02
Co 0.0000 0.2170 0.8504  4 O 1.93-1.97
Co 0.5000 0.2785 0.6835  4 O 1.93-2.01
O 0.7048 0.6716 0.2597  1 P 1.57
O 0.5000 0.6183 0.7437  1 P 1.54
O 0.0000 0.5520 0.0529  1 P 1.53
O 0.0000 0.0553 0.1138  1 P 1.53
O 0.7976 0.3254 0.4099  1 P 1.58
O 0.5000 0.9466 0.8843  1 P 1.54
O 0.1996 0.3264 0.0785  1 P 1.58
O 0.2024 0.3254 0.4099  1 P 1.58
O 0.5000 0.1166 0.0875  1 P 1.54
O 0.7983 0.8273 0.4252  1 P 1.57
O 0.3005 0.6718 0.5901  1 P 1.58
O 0.0000 0.0540 0.7783  1 P 1.54
O 0.0000 0.3867 0.5885  1 P 1.53
O 0.0000 0.8827 0.2423  1 P 1.52
O 0.5000 0.1179 0.4239  1 P 1.53
O 0.0000 0.5537 0.7181  1 P 1.54
O 0.2040 0.3281 0.7407  1 P 1.58
O 0.2017 0.8273 0.4252  1 P 1.57
O 0.0000 0.8834 0.9084  1 P 1.53
O 0.0000 0.3816 0.9247  1 P 1.53
O 0.2979 0.1717 0.2403  1 P 1.58
O 0.5000 0.6176 0.4102  1 P 1.53
O 0.8004 0.3264 0.0785  1 P 1.58
O 0.6995 0.6718 0.5901  1 P 1.58
O 0.1997 0.8294 0.0894  1 P 1.58
O 0.7960 0.3281 0.7407  1 P 1.58
O 0.7048 0.1714 0.9042  1 P 1.58
O 0.5000 0.4468 0.9531  1 P 1.55
O 0.0000 0.5509 0.3867  1 P 1.53
O 0.5000 0.9480 0.5513  1 P 1.52
O 0.5000 0.1127 0.7529  1 P 1.53
O 0.5000 0.9464 0.2153  1 P 1.53
O 0.2962 0.1736 0.5753  1 P 1.58
O 0.2952 0.1714 0.9042  1 P 1.58
O 0.2952 0.6705 0.9274  1 P 1.56
O 0.5000 0.4466 0.6158  1 P 1.52
O 0.0000 0.3829 0.2579  1 P 1.54
O 0.5000 0.6169 0.0793  1 P 1.55
O 0.2952 0.6716 0.2597  1 P 1.57
O 0.7038 0.1736 0.5753  1 P 1.58
O 0.2016 0.8287 0.7568  1 P 1.57
O 0.8003 0.8294 0.0894  1 P 1.58
O 0.0000 0.0529 0.4497  1 P 1.53
O 0.7021 0.1717 0.2403  1 P 1.58
O 0.0000 0.8820 0.5776  1 P 1.54
O 0.5000 0.4469 0.2835  1 P 1.54
O 0.7048 0.6705 0.9274  1 P 1.56
O 0.7984 0.8287 0.7568  1 P 1.57
P 0.0000 0.9026 0.4729  4 O 1.53-1.57
P 0.5000 0.5998 0.9738  4 O 1.55-1.56
P 0.0000 0.4025 0.6927  4 O 1.53-1.58
P 0.0000 0.4011 0.3627  4 O 1.53-1.58
P 0.5000 0.0969 0.1918  4 O 1.53-1.58
P 0.5000 0.0973 0.8574  4 O 1.53-1.58
P 0.0000 0.4024 0.0283  4 O 1.53-1.58
P 0.5000 0.0980 0.5279  4 O 1.52-1.58
P 0.0000 0.9052 0.1392  4 O 1.52-1.58
P 0.5000 0.5985 0.3061  4 O 1.53-1.57
P 0.0000 0.9037 0.8044  4 O 1.53-1.57
P 0.5000 0.5962 0.6397  4 O 1.52-1.58
Fe 0.5000 0.2760 0.3462  4 O 1.92-2.06
Fe 0.0000 0.7252 0.9876  6 O 1.95-2.16
Fe 0.5000 0.7740 0.4880  4 O 1.92-2.06
Fe 0.0000 0.7229 0.3216  4 O 1.95-2.04
Mn 0.5000 0.7846 0.8125  4 O 1.92-2.00
Mn 0.5000 0.2837 0.0214  4 O 1.90-2.01
Mn 0.5000 0.7800 0.1474  4 O 1.90-2.03
Mn 0.0000 0.7186 0.6478  4 O 1.91-2.03


The following is a GGA+U calculation of an optimized crystal structure of MnFeCoP3O12, from the Materials Project database.

Summary:
* space-group type: Pm
* formation enthalpy at 0 K: -2.27 eV/atom

a = 5.9850 Å, b = 9.8366 Å, c = 14.5904 Å
α = 89.75°, β = 90.00°, γ = 90.00°
Last column: nearest neighbours and their distance in Å.
Positions (direct):
Fe 0.0000 0.7262 0.0105  6 O 1.92-2.15
Fe 0.0000 0.2219 0.1524  4 O 1.92-2.05
Fe 0.5000 0.2741 0.3193  4 O 1.91-2.06
Fe 0.0000 0.7287 0.3438  6 O 1.94-2.10
Mn 0.5000 0.2842 0.6463  4 O 1.91-2.02
Mn 0.0000 0.2166 0.8128  4 O 1.90-2.02
Mn 0.5000 0.2848 0.9778  4 O 1.92-2.00
Mn 0.0000 0.2158 0.4804  4 O 1.90-2.04
O 0.5000 0.1185 0.5771  1 P 1.53
O 0.8000 0.8280 0.2457  1 P 1.58
O 0.5000 0.4485 0.3824  1 P 1.53
O 0.5000 0.6240 0.9235  1 P 1.54
O 0.5000 0.1182 0.2417  1 P 1.53
O 0.2993 0.1699 0.7566  1 P 1.56
O 0.7984 0.8303 0.5792  1 P 1.57
O 0.2016 0.8303 0.5792  1 P 1.57
O 0.0000 0.3797 0.0749  1 P 1.53
O 0.0000 0.8807 0.0924  1 P 1.53
O 0.0000 0.8782 0.7566  1 P 1.54
O 0.5000 0.4472 0.0502  1 P 1.54
O 0.6977 0.1705 0.4229  1 P 1.57
O 0.0000 0.0532 0.2194  1 P 1.53
O 0.2000 0.8280 0.2457  1 P 1.58
O 0.7987 0.3287 0.9230  1 P 1.57
O 0.2011 0.3257 0.2582  1 P 1.57
O 0.0000 0.8839 0.4260  1 P 1.52
O 0.0000 0.0550 0.5531  1 P 1.55
O 0.2013 0.3287 0.9230  1 P 1.57
O 0.0000 0.3791 0.4107  1 P 1.54
O 0.0000 0.5565 0.6207  1 P 1.54
O 0.5000 0.9442 0.7868  1 P 1.54
O 0.7007 0.1699 0.7566  1 P 1.56
O 0.5000 0.9433 0.4540  1 P 1.53
O 0.5000 0.9426 0.1184  1 P 1.55
O 0.0000 0.5535 0.9494  1 P 1.53
O 0.2008 0.8300 0.9104  1 P 1.56
O 0.0000 0.5514 0.2863  1 P 1.52
O 0.2978 0.6705 0.7443  1 P 1.56
O 0.5000 0.6252 0.2574  1 P 1.54
O 0.5000 0.4465 0.7177  1 P 1.54
O 0.7022 0.6705 0.7443  1 P 1.56
O 0.0000 0.3818 0.7438  1 P 1.53
O 0.2005 0.3304 0.5906  1 P 1.57
O 0.7989 0.3257 0.2582  1 P 1.57
O 0.0000 0.0535 0.8829  1 P 1.54
O 0.7995 0.3304 0.5906  1 P 1.57
O 0.5000 0.1185 0.9098  1 P 1.53
O 0.2975 0.6712 0.0762  1 P 1.57
O 0.2982 0.6736 0.4106  1 P 1.57
O 0.2954 0.1676 0.0912  1 P 1.56
O 0.7992 0.8300 0.9104  1 P 1.56
O 0.7025 0.6712 0.0762  1 P 1.57
O 0.7018 0.6736 0.4106  1 P 1.57
O 0.7046 0.1676 0.0912  1 P 1.56
O 0.5000 0.6226 0.5912  1 P 1.55
O 0.3023 0.1705 0.4229  1 P 1.57
P 0.5000 0.0979 0.1377  4 O 1.53-1.56
P 0.5000 0.0986 0.8056  4 O 1.53-1.56
P 0.0000 0.9008 0.8611  4 O 1.54-1.56
P 0.0000 0.4013 0.9712  4 O 1.53-1.57
P 0.0000 0.9019 0.1960  4 O 1.53-1.58
P 0.5000 0.6000 0.0280  4 O 1.54-1.57
P 0.5000 0.0960 0.4734  4 O 1.53-1.57
P 0.0000 0.4023 0.6394  4 O 1.53-1.57
P 0.0000 0.9017 0.5297  4 O 1.52-1.57
P 0.0000 0.3996 0.3060  4 O 1.52-1.57
P 0.5000 0.6009 0.3618  4 O 1.53-1.57
P 0.5000 0.6000 0.6962  4 O 1.54-1.56
Co 0.5000 0.7749 0.1763  2 O 1.85-1.89
Co 0.5000 0.7728 0.8425  2 O 1.87-1.88
Co 0.5000 0.7704 0.5110  2 O 1.86-1.89
Co 0.0000 0.7298 0.6761  2 O 1.88-1.89


The following is a GGA+U calculation of an optimized crystal structure of MnFeCoP3O12, from the Materials Project database.

Summary:
* space-group type: Pm
* formation enthalpy at 0 K: -2.26 eV/atom

a = 5.9478 Å, b = 9.9160 Å, c = 14.5801 Å
α = 89.31°, β = 90.00°, γ = 90.00°
Last column: nearest neighbours and their distance in Å.
Positions (direct):
O 0.0000 0.5521 0.0510  1 P 1.53
O 0.8001 0.3274 0.0798  1 P 1.58
O 0.1999 0.3274 0.0798  1 P 1.58
O 0.2981 0.6723 0.9240  1 P 1.57
O 0.7053 0.1737 0.9065  1 P 1.57
O 0.2017 0.8281 0.0908  1 P 1.58
O 0.2961 0.1708 0.5756  1 P 1.58
O 0.7019 0.6723 0.9240  1 P 1.57
O 0.0000 0.8790 0.5759  1 P 1.54
O 0.5000 0.9490 0.2156  1 P 1.52
O 0.3006 0.6738 0.2555  1 P 1.58
O 0.5000 0.9455 0.5528  1 P 1.54
O 0.7951 0.8286 0.7579  1 P 1.57
O 0.7018 0.1744 0.2416  1 P 1.58
O 0.0000 0.8811 0.2434  1 P 1.54
O 0.5000 0.6184 0.7430  1 P 1.52
O 0.7980 0.3281 0.7458  1 P 1.57
O 0.0000 0.5528 0.3843  1 P 1.55
O 0.2982 0.1744 0.2416  1 P 1.58
O 0.2020 0.8300 0.4228  1 P 1.57
O 0.0000 0.0541 0.4494  1 P 1.53
O 0.7018 0.6669 0.5896  1 P 1.56
O 0.5000 0.4495 0.2855  1 P 1.52
O 0.5000 0.6179 0.0763  1 P 1.53
O 0.2033 0.3276 0.4102  1 P 1.57
O 0.2947 0.1737 0.9065  1 P 1.57
O 0.0000 0.0538 0.1165  1 P 1.53
O 0.0000 0.3810 0.9250  1 P 1.52
O 0.2020 0.3281 0.7458  1 P 1.57
O 0.5000 0.1166 0.4241  1 P 1.53
O 0.0000 0.3840 0.2572  1 P 1.54
O 0.7967 0.3276 0.4102  1 P 1.57
O 0.5000 0.1194 0.0886  1 P 1.53
O 0.0000 0.5518 0.7180  1 P 1.54
O 0.2049 0.8286 0.7579  1 P 1.57
O 0.0000 0.0535 0.7785  1 P 1.54
O 0.5000 0.1236 0.7551  1 P 1.55
O 0.7980 0.8300 0.4228  1 P 1.57
O 0.5000 0.9505 0.8825  1 P 1.52
O 0.0000 0.8816 0.9081  1 P 1.54
O 0.2982 0.6669 0.5896  1 P 1.56
O 0.5000 0.4427 0.6199  1 P 1.56
O 0.0000 0.3811 0.5915  1 P 1.54
O 0.5000 0.4468 0.9499  1 P 1.54
O 0.5000 0.6217 0.4100  1 P 1.53
O 0.7039 0.1708 0.5756  1 P 1.58
O 0.6994 0.6738 0.2555  1 P 1.58
O 0.7983 0.8281 0.0908  1 P 1.58
Mn 0.0000 0.7178 0.3144  4 O 1.91-2.03
Mn 0.0000 0.7138 0.6461  4 O 1.91-2.01
Mn 0.5000 0.7846 0.4804  4 O 1.92-2.01
Mn 0.5000 0.2838 0.0196  4 O 1.90-2.04
Co 0.0000 0.2191 0.5194  4 O 1.93-2.00
Co 0.0000 0.2232 0.1830  6 O 1.94-2.17
Co 0.5000 0.2759 0.6796  2 O 1.86
Co 0.0000 0.2184 0.8477  4 O 1.93-2.00
P 0.5000 0.5981 0.9725  4 O 1.53-1.57
P 0.5000 0.5968 0.6397  4 O 1.52-1.56
P 0.0000 0.4017 0.0281  4 O 1.52-1.58
P 0.0000 0.9024 0.4713  4 O 1.53-1.57
P 0.0000 0.3998 0.6963  4 O 1.54-1.57
P 0.5000 0.0991 0.1931  4 O 1.52-1.58
P 0.0000 0.9029 0.1387  4 O 1.53-1.58
P 0.5000 0.1010 0.8604  4 O 1.52-1.57
P 0.5000 0.0965 0.5281  4 O 1.53-1.58
P 0.5000 0.5995 0.3065  4 O 1.52-1.58
P 0.0000 0.9019 0.8031  4 O 1.54-1.57
P 0.0000 0.4008 0.3620  4 O 1.54-1.57
Fe 0.0000 0.7253 0.9867  4 O 1.92-2.07
Fe 0.5000 0.2753 0.3469  4 O 1.92-2.06
Fe 0.5000 0.7780 0.8192  4 O 1.94-2.03
Fe 0.5000 0.7751 0.1532  6 O 1.93-2.15